[1]
First-principles (meta-GGA r2SCAN) data for Nb2Tc after structural relaxation, as listed in the Materials Project.

Unit cell a=3.222 b=4.655 c=13.510 alpha=90.00 beta=90.00 gamma=90.00
Space group Fmmm (No. 69)
Symmetry-distinct sites (fractional):
Nb1 0.000 0.000 0.160 [8 per cell]
Tc1 0.000 0.000 0.500 [4 per cell]

Properties
Energy of formation from the pure elements: -0.14 eV/atom
Total moment: 0.00 μB per atom

***

[2]
First-principles (meta-GGA r2SCAN) data for TiNbTc2 after structural relaxation, as listed in the Materials Project.

Unit cell a=6.284 b=6.284 c=6.284 alpha=90.00 beta=90.00 gamma=90.00
Space group Fm-3m (No. 225)
Symmetry-distinct sites (fractional):
Ti1 0.000 0.000 0.000 [4 per cell]
Nb1 0.000 0.000 0.500 [4 per cell]
Tc1 0.250 0.250 0.250 [8 per cell]

Properties
Energy of formation from the pure elements: -0.49 eV/atom
Total moment: 0.00 μB per atom

***

[3]
First-principles (meta-GGA r2SCAN) data for NbTe2 after structural relaxation, as listed in the Materials Project.

Unit cell a=15.068 b=3.701 c=9.607 alpha=90.00 beta=111.45 gamma=90.00
Space group C2/m (No. 12)
Symmetry-distinct sites (fractional):
Nb1 0.000 0.000 0.000 [2 per cell]
Nb2 0.138 0.500 0.290 [4 per cell]
Te1 0.006 0.000 0.304 [4 per cell]
Te2 0.146 0.500 0.015 [4 per cell]
Te3 0.206 0.500 0.618 [4 per cell]

Properties
Energy of formation from the pure elements: -0.54 eV/atom
Total moment: 0.00 μB per atom

***

[4]
First-principles (meta-GGA r2SCAN) data for NbTe2 after structural relaxation, as listed in the Materials Project.

Unit cell a=3.7205 b=3.7205 c=7.1483 alpha=90.00 beta=90.00 gamma=120.00
Space group P-3m1 (No. 164)
Symmetry-distinct sites (fractional):
Nb1 0.0000 0.0000 0.0000 [1 per cell]
Te1 0.3333 0.6667 0.2544 [2 per cell]

Properties
Energy of formation from the pure elements: -0.51 eV/atom
Total moment: 0.10 μB per atom

***

[5]
First-principles (meta-GGA r2SCAN) data for Nb3Te after structural relaxation, as listed in the Materials Project.

Unit cell a=5.291 b=5.291 c=5.291 alpha=90.00 beta=90.00 gamma=90.00
Space group Pm-3n (No. 223)
Symmetry-distinct sites (fractional):
Nb1 0.000 0.250 0.500 [6 per cell]
Te1 0.000 0.000 0.000 [2 per cell]

Properties
Energy of formation from the pure elements: -0.20 eV/atom
Total moment: 0.00 μB per atom

***

[6]
First-principles (meta-GGA r2SCAN) data for Nb12TlTe16 after structural relaxation, as listed in the Materials Project.

Unit cell a=21.678 b=7.363 c=10.846 alpha=90.00 beta=119.99 gamma=90.00
Space group Cm (No. 8)
Symmetry-distinct sites (fractional):
Nb1 0.000 0.000 0.000 [2 per cell]
Nb2 0.001 0.500 0.999 [2 per cell]
Nb3 0.142 0.500 0.872 [2 per cell]
Nb4 0.144 0.000 0.875 [2 per cell]
Nb5 0.195 0.256 0.486 [4 per cell]
Nb6 0.206 0.500 0.286 [2 per cell]
Nb7 0.207 0.000 0.285 [2 per cell]
Nb8 0.255 0.244 0.896 [4 per cell]
Nb9 0.400 0.251 0.776 [4 per cell]
Tl1 0.449 0.500 0.385 [2 per cell]
Te1 0.087 0.500 0.322 [2 per cell]
Te2 0.090 0.000 0.324 [2 per cell]
Te3 0.117 0.250 0.053 [4 per cell]
Te4 0.118 0.250 0.658 [4 per cell]
Te5 0.279 0.500 0.107 [2 per cell]
Te6 0.281 0.000 0.113 [2 per cell]
Te7 0.283 0.000 0.718 [2 per cell]
Te8 0.284 0.500 0.721 [2 per cell]
Te9 0.314 0.251 0.450 [4 per cell]
Te10 0.418 0.249 0.051 [4 per cell]
Te11 0.482 0.000 0.725 [2 per cell]
Te12 0.482 0.500 0.727 [2 per cell]

Properties
Energy of formation from the pure elements: -0.54 eV/atom
Total moment: 0.00 μB per atom

***

[7]
First-principles (meta-GGA r2SCAN) data for NbW after structural relaxation, as listed in the Materials Project.

Unit cell a=3.235 b=4.547 c=4.598 alpha=90.00 beta=90.00 gamma=90.00
Space group Cmmm (No. 65)
Symmetry-distinct sites (fractional):
Nb1 0.000 0.000 0.000 [2 per cell]
W1 0.000 0.500 0.500 [2 per cell]

Properties
Energy of formation from the pure elements: -0.02 eV/atom
Total moment: 0.00 μB per atom

***

[8]
First-principles (meta-GGA r2SCAN) data for NbZn16 after structural relaxation, as listed in the Materials Project.

Unit cell a=7.619 b=11.290 c=11.510 alpha=90.00 beta=90.00 gamma=90.00
Space group Cmcm (No. 63)
Symmetry-distinct sites (fractional):
Nb1 0.000 0.048 0.250 [4 per cell]
Zn1 0.000 0.000 0.000 [4 per cell]
Zn2 0.000 0.176 0.640 [8 per cell]
Zn3 0.000 0.291 0.250 [4 per cell]
Zn4 0.000 0.380 0.533 [8 per cell]
Zn5 0.163 0.355 0.750 [8 per cell]
Zn6 0.168 0.187 0.069 [16 per cell]
Zn7 0.202 0.448 0.134 [16 per cell]

Properties
Energy of formation from the pure elements: -0.05 eV/atom
Total moment: 0.00 μB per atom

***

Among the records above, which one has the highest energy of formation from the pure elements?
NbW

***

Look up the energy of formation from the pure elements of the first one.
-0.14 eV/atom

***

What is the total moment in the seventh record?
0.00 μB per atom